# 1
A plane-wave DFT calculation with PBE was carried out for NpS after structural relaxation.

Values from the calculation:
Formation energy in kJ per mole of atoms: -156.1
Electronic total energy in eV/cell: -79.27
MP2020-corrected energy in eV/atom: -10.160

Cell and atoms, written as CIF:
```
data_NpS
_chemical_formula_sum 'Np4 S4'
_cell_length_a 5.527
_cell_length_b 5.527
_cell_length_c 5.527
_cell_angle_alpha 90.00
_cell_angle_beta 90.00
_cell_angle_gamma 90.00
_symmetry_space_group_name_H-M 'F m -3 m'
_symmetry_Int_Tables_number 225
_symmetry_space_group_name_Hall '-F 4 2 3'
loop_
_atom_site_label
_atom_site_fract_x
_atom_site_fract_y
_atom_site_fract_z
_atom_site_occupancy
Np1 0.000 0.000 0.000 1
S1 0.000 0.000 0.500 1
```

---

# 2
A plane-wave DFT calculation with PBE was carried out for NpSb2 after structural relaxation.

Values from the calculation:
Formation energy in kJ per mole of atoms: -35.4
Total moment in μB per formula unit: 3.870
Electronic total energy in eV/cell: -175.38
MP2020-corrected energy in eV/atom: -7.436

Cell and atoms, written as CIF:
```
data_NpSb2
_chemical_formula_sum 'Np8 Sb16'
_cell_length_a 6.175
_cell_length_b 6.131
_cell_length_c 17.248
_cell_angle_alpha 90.00
_cell_angle_beta 90.00
_cell_angle_gamma 90.00
_symmetry_space_group_name_H-M 'C m c e'
_symmetry_Int_Tables_number 64
_symmetry_space_group_name_Hall '-C 2ac 2'
loop_
_atom_site_label
_atom_site_fract_x
_atom_site_fract_y
_atom_site_fract_z
_atom_site_occupancy
Np1 0.000 0.139 0.108 1
Sb1 0.000 0.140 0.431 1
Sb2 0.250 0.122 0.750 1
```

---

# 3
A plane-wave DFT calculation with PBE was carried out for NpScTc2 after structural relaxation.

Values from the calculation:
Formation energy in kJ per mole of atoms: -9.1
Total moment in μB per formula unit: 2.602
Electronic total energy in eV/cell: -161.52

Cell and atoms, written as CIF:
```
data_NpScTc2
_chemical_formula_sum 'Np4 Sc4 Tc8'
_cell_length_a 6.585
_cell_length_b 6.585
_cell_length_c 6.585
_cell_angle_alpha 90.00
_cell_angle_beta 90.00
_cell_angle_gamma 90.00
_symmetry_space_group_name_H-M 'F m -3 m'
_symmetry_Int_Tables_number 225
_symmetry_space_group_name_Hall '-F 4 2 3'
loop_
_atom_site_label
_atom_site_fract_x
_atom_site_fract_y
_atom_site_fract_z
_atom_site_occupancy
Np1 0.000 0.000 0.000 1
Sc1 0.000 0.000 0.500 1
Tc1 0.250 0.250 0.250 1
```

---

# 4
A plane-wave DFT calculation with PBE was carried out for Np3Se5 after structural relaxation.

Values from the calculation:
Formation energy in kJ per mole of atoms: -142.2
Electronic total energy in eV/cell: -263.03
MP2020-corrected energy in eV/atom: -8.515

Cell and atoms, written as CIF:
```
data_Np3Se5
_chemical_formula_sum 'Np12 Se20'
_cell_length_a 12.081
_cell_length_b 8.295
_cell_length_c 7.653
_cell_angle_alpha 90.00
_cell_angle_beta 90.00
_cell_angle_gamma 90.00
_symmetry_space_group_name_H-M 'P n m a'
_symmetry_Int_Tables_number 62
_symmetry_space_group_name_Hall '-P 2ac 2n'
loop_
_atom_site_label
_atom_site_fract_x
_atom_site_fract_y
_atom_site_fract_z
_atom_site_occupancy
Np1 0.008 0.250 0.077 1
Np2 0.179 0.002 0.524 1
Se1 0.001 0.750 0.537 1
Se2 0.097 0.548 0.171 1
Se3 0.189 0.250 0.830 1
Se4 0.218 0.750 0.801 1
```